Nd2Zn3Ge6 after structural relaxation. Source: Materials Project, functional PBE-GGA.

Magnetic moment = 0.00 μB per formula unit
Density = 6.9 g/cm³
Calculated formation energy = -0.380 eV/atom
Symmetry = No. 63

Geometry as CIF:
```
data_Nd2Zn3Ge6
_chemical_formula_sum 'Nd4 Zn6 Ge12'
_space_group_name_H-M_alt 'P 1'
_space_group_IT_number 1
_cell_length_a 12.765
_cell_length_b 12.765
_cell_length_c 5.956
_cell_angle_alpha 90.00
_cell_angle_beta 90.00
_cell_angle_gamma 153.00
loop_
_space_group_symop_operation_xyz
'x,y,z'
loop_
_atom_site_label
_atom_site_type_symbol
_atom_site_fract_x
_atom_site_fract_y
_atom_site_fract_z
Nd1 Nd 0.894 0.106 0.750
Nd2 Nd 0.393 0.607 0.250
Nd3 Nd 0.607 0.393 0.750
Nd4 Nd 0.106 0.894 0.250
Zn1 Zn 0.161 0.839 0.750
Zn2 Zn 0.263 0.263 0.500
Zn3 Zn 0.263 0.263 0.000
Zn4 Zn 0.737 0.737 0.000
Zn5 Zn 0.839 0.161 0.250
Zn6 Zn 0.737 0.737 0.500
Ge1 Ge 0.941 0.059 0.250
Ge2 Ge 0.485 0.083 0.035
Ge3 Ge 0.059 0.941 0.750
Ge4 Ge 0.430 0.570 0.750
Ge5 Ge 0.515 0.917 0.535
Ge6 Ge 0.917 0.515 0.035
Ge7 Ge 0.917 0.515 0.465
Ge8 Ge 0.515 0.917 0.965
Ge9 Ge 0.485 0.083 0.465
Ge10 Ge 0.083 0.485 0.535
Ge11 Ge 0.570 0.430 0.250
Ge12 Ge 0.083 0.485 0.965
```